Crystalline Li7Mn3P3C3O21 at its relaxed geometry, computed with GGA+U.

Cell lengths 5.0642, 19.5376, 8.4439 Å; angles 90.00, 94.65, 90.00 degrees
Closest atoms and distances in Å follow each position.
Element x y z (fractional)
1 Li 0.2374 0.0042 0.2493  3 O 2.01-2.20
2 Li 0.2366 0.2500 0.5916  2 O 1.94-2.03
3 Li 0.2374 0.4958 0.2493  3 O 2.01-2.20
4 Li 0.2447 0.1589 0.2382  3 O 2.02-2.22
5 Li 0.2447 0.3411 0.2382  3 O 2.02-2.22
6 Li 0.2477 0.6729 0.2365  4 O 2.03-2.23
7 Li 0.2477 0.8271 0.2365  4 O 2.03-2.23
8 Li 0.7523 0.1729 0.7635  4 O 2.03-2.23
9 Li 0.7523 0.3271 0.7635  4 O 2.03-2.23
10 Li 0.7553 0.6589 0.7618  3 O 2.02-2.22
11 Li 0.7553 0.8411 0.7618  3 O 2.02-2.22
12 Li 0.7626 0.5042 0.7507  3 O 2.01-2.20
13 Li 0.7634 0.7500 0.4084  2 O 1.94-2.03
14 Li 0.7626 0.9958 0.7507  3 O 2.01-2.20
15 Mn 0.2177 0.7500 0.8410  5 O 2.07-2.21
16 Mn 0.2232 0.0832 0.8387  6 O 2.00-2.20
17 Mn 0.2232 0.4168 0.8387  6 O 2.00-2.20
18 Mn 0.7768 0.5832 0.1613  6 O 2.00-2.20
19 Mn 0.7768 0.9168 0.1613  6 O 2.00-2.20
20 Mn 0.7823 0.2500 0.1590  5 O 2.07-2.21
21 P 0.2720 0.5837 0.9205  4 O 1.53-1.59
22 P 0.2720 0.9163 0.9205  4 O 1.53-1.59
23 P 0.2824 0.2500 0.9132  4 O 1.54-1.56
24 P 0.7176 0.7500 0.0868  4 O 1.54-1.56
25 P 0.7280 0.0837 0.0795  4 O 1.53-1.59
26 P 0.7280 0.4163 0.0795  4 O 1.53-1.59
27 C 0.2982 0.0821 0.5476  3 O 1.26-1.33
28 C 0.2982 0.4179 0.5476  3 O 1.26-1.33
29 C 0.2999 0.7500 0.5355  3 O 1.29-1.31
30 C 0.7001 0.2500 0.4645  3 O 1.29-1.31
31 C 0.7018 0.5821 0.4524  3 O 1.26-1.33
32 C 0.7018 0.9179 0.4524  3 O 1.26-1.33
33 O 0.0564 0.7500 0.5708  1 C 1.29
34 O 0.0691 0.0818 0.6133  1 C 1.33
35 O 0.0691 0.4182 0.6133  1 C 1.33
36 O 0.1657 0.6453 0.8231  1 P 1.53
37 O 0.1657 0.8547 0.8231  1 P 1.53
38 O 0.1739 0.1880 0.8106  1 P 1.56
39 O 0.1739 0.3120 0.8106  1 P 1.56
40 O 0.1754 0.5190 0.8288  1 P 1.54
41 O 0.1754 0.9810 0.8288  1 P 1.54
42 O 0.1767 0.5846 0.0906  1 P 1.55
43 O 0.1767 0.9154 0.0906  1 P 1.55
44 O 0.1883 0.2500 0.0819  1 P 1.54
45 O 0.3097 0.0829 0.3990  1 C 1.26
46 O 0.3097 0.4171 0.3990  1 C 1.26
47 O 0.3613 0.7500 0.3888  1 C 1.30
48 O 0.4098 0.7500 0.0762  1 P 1.55
49 O 0.4130 0.0852 0.0581  1 P 1.59
50 O 0.4130 0.4148 0.0581  1 P 1.59
51 O 0.4905 0.7500 0.6496  1 C 1.31
52 O 0.4973 0.5827 0.3479  1 C 1.30
53 O 0.4973 0.9173 0.3479  1 C 1.30
54 O 0.5027 0.0827 0.6521  1 C 1.30
55 O 0.5027 0.4173 0.6521  1 C 1.30
56 O 0.5095 0.2500 0.3504  1 C 1.31
57 O 0.5870 0.5852 0.9419  1 P 1.59
58 O 0.5870 0.9148 0.9419  1 P 1.59
59 O 0.5902 0.2500 0.9238  1 P 1.55
60 O 0.6387 0.2500 0.6112  1 C 1.30
61 O 0.6903 0.5829 0.6010  1 C 1.26
62 O 0.6903 0.9171 0.6010  1 C 1.26
63 O 0.8117 0.7500 0.9181  1 P 1.54
64 O 0.8233 0.0846 0.9094  1 P 1.55
65 O 0.8233 0.4154 0.9094  1 P 1.55
66 O 0.8246 0.0190 0.1712  1 P 1.54
67 O 0.8246 0.4810 0.1712  1 P 1.54
68 O 0.8261 0.6880 0.1894  1 P 1.56
69 O 0.8261 0.8120 0.1894  1 P 1.56
70 O 0.8343 0.1453 0.1769  1 P 1.53
71 O 0.8343 0.3547 0.1769  1 P 1.53
72 O 0.9309 0.5818 0.3867  1 C 1.33
73 O 0.9309 0.9182 0.3867  1 C 1.33
74 O 0.9436 0.2500 0.4292  1 C 1.29

Values from the calculation:
The formation energy comes out at -2358 meV per atom. Its space group is No. 11.

Crystalline MoC6O6 at its relaxed geometry, computed with GGA+U.

Cell lengths 12.1719, 11.5578, 6.5668 Å; angles 90.00, 90.00, 90.00 degrees
Closest atoms and distances in Å follow each position.
Element x y z (fractional)
1 Mo 0.1269 0.2500 0.0646  6 C 2.08
2 Mo 0.3731 0.7500 0.5646  6 C 2.08
3 Mo 0.6269 0.2500 0.4354  6 C 2.08
4 Mo 0.8731 0.7500 0.9354  6 C 2.08
5 C 0.0258 0.1230 0.1879  1 O 1.16
6 C 0.0258 0.3770 0.1879  1 O 1.16
7 C 0.0328 0.2500 0.7998  1 O 1.16
8 C 0.2212 0.2500 0.3284  1 O 1.16
9 C 0.2268 0.1219 0.9395  1 O 1.16
10 C 0.2268 0.3781 0.9395  1 O 1.16
11 C 0.2732 0.6219 0.4395  1 O 1.16
12 C 0.2732 0.8781 0.4395  1 O 1.16
13 C 0.2788 0.7500 0.8284  1 O 1.16
14 C 0.4672 0.7500 0.2998  1 O 1.16
15 C 0.4742 0.6230 0.6879  1 O 1.16
16 C 0.4742 0.8770 0.6879  1 O 1.16
17 C 0.5258 0.1230 0.3121  1 O 1.16
18 C 0.5258 0.3770 0.3121  1 O 1.16
19 C 0.5328 0.2500 0.7002  1 O 1.16
20 C 0.7212 0.2500 0.1716  1 O 1.16
21 C 0.7268 0.1219 0.5605  1 O 1.16
22 C 0.7268 0.3781 0.5605  1 O 1.16
23 C 0.7732 0.6219 0.0605  1 O 1.16
24 C 0.7732 0.8781 0.0605  1 O 1.16
25 C 0.7788 0.7500 0.6716  1 O 1.16
26 C 0.9672 0.7500 0.2002  1 O 1.16
27 C 0.9742 0.6230 0.8121  1 O 1.16
28 C 0.9742 0.8770 0.8121  1 O 1.16
29 O 0.0186 0.7500 0.3488  1 C 1.16
30 O 0.0313 0.5526 0.7444  1 C 1.16
31 O 0.0313 0.9474 0.7444  1 C 1.16
32 O 0.2187 0.5502 0.3691  1 C 1.16
33 O 0.2187 0.9498 0.3691  1 C 1.16
34 O 0.2261 0.7500 0.9757  1 C 1.16
35 O 0.2739 0.2500 0.4757  1 C 1.16
36 O 0.2813 0.0502 0.8691  1 C 1.16
37 O 0.2813 0.4498 0.8691  1 C 1.16
38 O 0.4687 0.0526 0.2444  1 C 1.16
39 O 0.4687 0.4474 0.2444  1 C 1.16
40 O 0.4814 0.2500 0.8488  1 C 1.16
41 O 0.5186 0.7500 0.1512  1 C 1.16
42 O 0.5313 0.5526 0.7556  1 C 1.16
43 O 0.5313 0.9474 0.7556  1 C 1.16
44 O 0.7187 0.5502 0.1309  1 C 1.16
45 O 0.7187 0.9498 0.1309  1 C 1.16
46 O 0.7261 0.7500 0.5243  1 C 1.16
47 O 0.7739 0.2500 0.0243  1 C 1.16
48 O 0.7813 0.0502 0.6309  1 C 1.16
49 O 0.7813 0.4498 0.6309  1 C 1.16
50 O 0.9687 0.0526 0.2556  1 C 1.16
51 O 0.9687 0.4474 0.2556  1 C 1.16
52 O 0.9814 0.2500 0.6512  1 C 1.16

Values from the calculation:
The formation energy comes out at -867 meV per atom. Its space group is No. 62.

Crystalline Li2FeP4O12 at its relaxed geometry, computed with GGA+U.

Cell lengths 7.8257, 12.7338, 11.7709 Å; angles 90.00, 118.17, 90.00 degrees
Closest atoms and distances in Å follow each position.
Element x y z (fractional)
1 Li 0.0548 0.2074 0.1608  1 O 1.92
2 Li 0.0548 0.2926 0.6608  1 O 1.92
3 Li 0.4308 0.5867 0.5746  2 O 1.88-1.90
4 Li 0.4308 0.9133 0.0746  2 O 1.88-1.90
5 Li 0.5692 0.0867 0.9254  2 O 1.88-1.90
6 Li 0.5692 0.4133 0.4254  2 O 1.88-1.90
7 Li 0.9452 0.7074 0.3392  1 O 1.92
8 Li 0.9452 0.7926 0.8392  1 O 1.92
9 Fe 0.2630 0.1545 0.5117  5 O 2.03-2.23
10 Fe 0.2630 0.3455 0.0117  5 O 2.03-2.23
11 Fe 0.7370 0.6545 0.9883  5 O 2.03-2.23
12 Fe 0.7370 0.8455 0.4883  5 O 2.03-2.23
13 P 0.0712 0.5659 0.8604  4 O 1.50-1.63
14 P 0.0712 0.9341 0.3604  4 O 1.50-1.63
15 P 0.0879 0.6660 0.6436  4 O 1.50-1.65
16 P 0.0879 0.8340 0.1436  4 O 1.50-1.65
17 P 0.3860 0.6800 0.3088  4 O 1.50-1.64
18 P 0.3860 0.8200 0.8088  4 O 1.50-1.64
19 P 0.4450 0.5834 0.0988  4 O 1.50-1.61
20 P 0.4450 0.9166 0.5988  4 O 1.50-1.61
21 P 0.5550 0.0834 0.4012  4 O 1.50-1.61
22 P 0.5550 0.4166 0.9012  4 O 1.50-1.61
23 P 0.6140 0.1800 0.1911  4 O 1.50-1.64
24 P 0.6140 0.3200 0.6912  4 O 1.50-1.64
25 P 0.9121 0.1660 0.8564  4 O 1.50-1.65
26 P 0.9121 0.3340 0.3564  4 O 1.50-1.65
27 P 0.9288 0.0659 0.6396  4 O 1.50-1.63
28 P 0.9288 0.4341 0.1396  4 O 1.50-1.63
29 O 0.0588 0.0470 0.3929  1 P 1.50
30 O 0.0588 0.4530 0.8929  1 P 1.50
31 O 0.0821 0.1431 0.6507  1 P 1.51
32 O 0.0821 0.3569 0.1507  1 P 1.51
33 O 0.0854 0.5649 0.7265  2 P 1.62-1.63
34 O 0.0854 0.9351 0.2265  2 P 1.62-1.63
35 O 0.1162 0.2014 0.9434  1 P 1.50
36 O 0.1162 0.2986 0.4434  1 P 1.50
37 O 0.1823 0.7449 0.2580  2 P 1.64-1.65
38 O 0.1823 0.7551 0.7580  2 P 1.64-1.65
39 O 0.2081 0.6410 0.5788  1 P 1.50
40 O 0.2081 0.8590 0.0788  1 P 1.50
41 O 0.2779 0.6165 0.9579  2 P 1.61
42 O 0.2779 0.8835 0.4579  2 P 1.61
43 O 0.3381 0.6202 0.1793  2 P 1.58-1.60
44 O 0.3381 0.8798 0.6793  2 P 1.58-1.60
45 O 0.3787 0.1497 0.3711  1 P 1.51
46 O 0.3787 0.3503 0.8711  1 P 1.51
47 O 0.3964 0.6010 0.4064  1 P 1.50
48 O 0.3964 0.8990 0.9064  1 P 1.50
49 O 0.4493 0.2458 0.6604  1 P 1.50
50 O 0.4493 0.2542 0.1604  1 P 1.50
51 O 0.4615 0.0334 0.6137  1 P 1.50
52 O 0.4615 0.4666 0.1137  1 P 1.50
53 O 0.5385 0.5334 0.8863  1 P 1.50
54 O 0.5385 0.9666 0.3863  1 P 1.50
55 O 0.5507 0.7458 0.8396  1 P 1.50
56 O 0.5507 0.7542 0.3396  1 P 1.50
57 O 0.6036 0.1010 0.0936  1 P 1.50
58 O 0.6036 0.3990 0.5936  1 P 1.50
59 O 0.6213 0.6497 0.1289  1 P 1.51
60 O 0.6213 0.8503 0.6289  1 P 1.51
61 O 0.6619 0.1202 0.3207  2 P 1.58-1.60
62 O 0.6619 0.3798 0.8207  2 P 1.58-1.60
63 O 0.7221 0.1165 0.5421  2 P 1.61
64 O 0.7221 0.3835 0.0421  2 P 1.61
65 O 0.7919 0.1410 0.9212  1 P 1.50
66 O 0.7919 0.3590 0.4212  1 P 1.50
67 O 0.8177 0.2449 0.2420  2 P 1.64-1.65
68 O 0.8177 0.2551 0.7420  2 P 1.64-1.65
69 O 0.8838 0.7014 0.5566  1 P 1.50
70 O 0.8838 0.7986 0.0566  1 P 1.50
71 O 0.9146 0.0649 0.7735  2 P 1.62-1.63
72 O 0.9146 0.4351 0.2735  2 P 1.62-1.63
73 O 0.9179 0.6431 0.8493  1 P 1.51
74 O 0.9179 0.8569 0.3493  1 P 1.51
75 O 0.9412 0.5470 0.1071  1 P 1.50
76 O 0.9412 0.9530 0.6071  1 P 1.50

Values from the calculation:
The formation energy comes out at -2509 meV per atom. Its space group is No. 14. As for the polymorph energy (0 for the lowest one): 7.3 kJ/mol of atoms.

Crystalline Li4FeB2O6 at its relaxed geometry, computed with GGA+U.

Cell lengths 6.7282, 9.8993, 7.8431 Å; angles 89.99, 90.09, 70.13 degrees
Closest atoms and distances in Å follow each position.
Element x y z (fractional)
1 O 0.1919 0.6155 0.8801  1 B 1.42
2 O 0.8177 0.3642 0.4254  1 B 1.37
3 O 0.8179 0.8642 0.0739  1 B 1.37
4 O 0.6821 0.1358 0.9257  1 B 1.37
5 O 0.0743 0.8510 0.7433  1 B 1.39
6 O 0.1823 0.6358 0.5746  1 B 1.37
7 O 0.8081 0.3845 0.1199  1 B 1.42
8 O 0.1821 0.1358 0.9261  1 B 1.37
9 O 0.5748 0.3512 0.7569  1 B 1.40
10 O 0.3086 0.8842 0.3796  1 B 1.42
11 O 0.6822 0.6359 0.5739  1 B 1.37
12 O 0.0741 0.3509 0.7565  1 B 1.40
13 O 0.3178 0.3641 0.4261  1 B 1.37
14 O 0.8086 0.8844 0.3792  1 B 1.42
15 O 0.6914 0.1158 0.6204  1 B 1.42
16 O 0.6920 0.6159 0.8792  1 B 1.42
17 O 0.3080 0.3841 0.1208  1 B 1.42
18 O 0.5738 0.8511 0.7428  1 B 1.40
19 O 0.3179 0.8642 0.0743  1 B 1.37
20 O 0.9259 0.6491 0.2435  1 B 1.40
21 O 0.4252 0.6488 0.2431  1 B 1.40
22 O 0.9257 0.1490 0.2567  1 B 1.39
23 O 0.4262 0.1489 0.2572  1 B 1.40
24 O 0.1914 0.1156 0.6208  1 B 1.42
25 Li 0.5997 0.3007 0.5085  4 O 1.90-2.00
26 Li 0.9001 0.6997 0.4915  4 O 1.90-2.00
27 Li 0.7769 0.9460 0.8244  4 O 1.94-2.10
28 Li 0.2768 0.4458 0.6757  4 O 1.94-2.10
29 Li 0.9005 0.1993 0.0084  4 O 1.90-2.00
30 Li 0.4001 0.1998 0.0085  4 O 1.90-2.01
31 Li 0.2228 0.5539 0.3245  4 O 1.94-2.10
32 Li 0.5999 0.8002 0.9915  4 O 1.90-2.01
33 Li 0.2769 0.9462 0.8245  4 O 1.94-2.10
34 Li 0.4003 0.6993 0.4915  4 O 1.90-2.00
35 Li 0.7232 0.5542 0.3243  4 O 1.94-2.10
36 Li 0.7231 0.0539 0.1755  4 O 1.94-2.10
37 Li 0.7772 0.4461 0.6755  4 O 1.94-2.10
38 Li 0.0999 0.3003 0.5086  4 O 1.90-2.00
39 Li 0.2231 0.0540 0.1756  4 O 1.94-2.10
40 Li 0.0995 0.8007 0.9916  4 O 1.90-2.00
41 B 0.1492 0.7016 0.7301  3 O 1.37-1.42
42 B 0.8508 0.2984 0.2699  3 O 1.37-1.42
43 B 0.6491 0.7016 0.7296  3 O 1.37-1.42
44 B 0.8512 0.7985 0.2298  3 O 1.37-1.42
45 B 0.1488 0.2015 0.7702  3 O 1.37-1.42
46 B 0.3510 0.7983 0.2299  3 O 1.37-1.42
47 B 0.3509 0.2984 0.2704  3 O 1.37-1.42
48 B 0.6490 0.2017 0.7701  3 O 1.37-1.42
49 Fe 0.5000 0.4999 0.9999  6 O 2.21-2.36
50 Fe 0.5000 0.0000 0.5000  6 O 2.20-2.35
51 Fe 0.0000 0.9999 0.5000  6 O 2.21-2.36
52 Fe 0.0000 0.5001 0.0000  6 O 2.21-2.36

Values from the calculation:
The formation energy comes out at -2433 meV per atom. As for the polymorph energy (0 for the lowest one): 0.3 kJ/mol of atoms.

Q: Number 2 is which compound?
A: MoC6O6